Entry 1:
# PBE Na7MgAl3Si3S3O24, optimized geometry
# - total magnetic moment (μB per formula unit) = 0.00
# - total energy after the MP2020 corrections (eV for the cell shown) = -828.13
# - ΔE_f (kJ/mol of atoms) = -251
data_Na7MgAl3Si3S3O24
_chemical_formula_sum 'Na21 Mg3 Al9 Si9 S9 O72'
_cell_length_a 8.796
_cell_length_b 8.824
_cell_length_c 21.778
_cell_angle_alpha 89.16
_cell_angle_beta 89.35
_cell_angle_gamma 60.19
_space_group_name_H-M_alt 'P 1'
_space_group_IT_number 1
_space_group_name_Hall 'P 1'
loop_
_atom_site_label
_atom_site_fract_x
_atom_site_fract_y
_atom_site_fract_z
_atom_site_occupancy
Na1 0.000 0.000 0.000 1
Na2 0.001 0.643 0.510 1
Na3 0.272 0.391 0.993 1
Na4 0.294 0.989 0.495 1
Na5 0.309 0.322 0.670 1
Na6 0.310 0.665 0.917 1
Na7 0.314 0.680 0.419 1
Na8 0.317 0.025 0.176 1
Na9 0.333 0.341 0.334 1
Na10 0.602 0.336 0.834 1
Na11 0.606 0.729 0.334 1
Na12 0.640 0.382 0.510 1
Na13 0.642 0.013 0.748 1
Na14 0.642 0.999 0.251 1
Na15 0.645 0.630 0.009 1
Na16 0.677 0.657 0.660 1
Na17 0.937 0.355 0.085 1
Na18 0.939 0.670 0.166 1
Na19 0.957 0.344 0.590 1
Na20 0.978 0.971 0.338 1
Na21 0.982 0.699 0.835 1
Mg1 0.321 0.659 0.063 1
Mg2 0.325 0.661 0.573 1
Mg3 0.638 0.996 0.394 1
Al1 0.306 0.697 0.272 1
Al2 0.307 0.636 0.763 1
Al3 0.634 0.020 0.900 1
Al4 0.657 0.989 0.099 1
Al5 0.668 0.984 0.608 1
Al6 0.966 0.359 0.234 1
Al7 0.969 0.354 0.938 1
Al8 0.981 0.355 0.433 1
Al9 0.987 0.334 0.730 1
Si1 0.014 0.670 0.668 1
Si2 0.251 0.062 0.332 1
Si3 0.269 0.325 0.834 1
Si4 0.607 0.669 0.167 1
Si5 0.622 0.357 0.668 1
Si6 0.645 0.708 0.499 1
Si7 0.650 0.288 0.999 1
Si8 0.927 0.718 0.997 1
Si9 0.986 0.634 0.331 1
S1 0.013 0.969 0.167 1
S2 0.305 0.959 0.669 1
S3 0.314 0.375 0.167 1
S4 0.351 0.292 0.499 1
S5 0.354 0.011 0.001 1
S6 0.680 0.632 0.834 1
S7 0.688 0.347 0.334 1
S8 0.929 0.012 0.500 1
S9 0.986 0.049 0.835 1
O1 0.023 0.511 0.393 1
O2 0.100 0.857 0.223 1
O3 0.103 0.698 0.729 1
O4 0.106 0.854 0.504 1
O5 0.118 0.888 0.111 1
O6 0.120 0.701 0.002 1
O7 0.129 0.150 0.394 1
O8 0.132 0.634 0.606 1
O9 0.139 0.363 0.894 1
O10 0.143 0.872 0.831 1
O11 0.148 0.175 0.271 1
O12 0.150 0.137 0.676 1
O13 0.153 0.353 0.172 1
O14 0.170 0.642 0.322 1
O15 0.173 0.309 0.773 1
O16 0.174 0.300 0.497 1
O17 0.178 0.172 0.996 1
O18 0.279 0.862 0.329 1
O19 0.280 0.893 0.610 1
O20 0.282 0.483 0.112 1
O21 0.289 0.508 0.830 1
O22 0.322 0.473 0.502 1
O23 0.329 0.857 0.004 1
O24 0.332 0.461 0.223 1
O25 0.333 0.838 0.721 1
O26 0.433 0.035 0.058 1
O27 0.438 0.186 0.555 1
O28 0.444 0.047 0.332 1
O29 0.454 0.215 0.443 1
O30 0.465 0.980 0.665 1
O31 0.466 0.984 0.946 1
O32 0.469 0.156 0.840 1
O33 0.470 0.196 0.162 1
O34 0.470 0.686 0.505 1
O35 0.473 0.705 0.227 1
O36 0.480 0.483 0.002 1
O37 0.486 0.455 0.727 1
O38 0.503 0.650 0.828 1
O39 0.510 0.505 0.329 1
O40 0.521 0.651 0.105 1
O41 0.550 0.488 0.609 1
O42 0.611 0.822 0.437 1
O43 0.615 0.176 0.656 1
O44 0.616 0.206 0.937 1
O45 0.623 0.854 0.162 1
O46 0.666 0.191 0.340 1
O47 0.668 0.806 0.839 1
O48 0.675 0.809 0.558 1
O49 0.679 0.156 0.057 1
O50 0.760 0.521 0.891 1
O51 0.767 0.374 0.390 1
O52 0.794 0.545 0.779 1
O53 0.797 0.318 0.279 1
O54 0.805 0.498 0.176 1
O55 0.811 0.339 0.684 1
O56 0.811 0.796 0.060 1
O57 0.814 0.836 0.665 1
O58 0.816 0.033 0.554 1
O59 0.819 0.831 0.335 1
O60 0.824 0.027 0.836 1
O61 0.825 0.840 0.937 1
O62 0.827 0.510 0.493 1
O63 0.831 0.302 0.991 1
O64 0.838 0.979 0.165 1
O65 0.848 0.998 0.443 1
O66 0.947 0.174 0.499 1
O67 0.947 0.521 0.993 1
O68 0.947 0.542 0.274 1
O69 0.960 0.165 0.782 1
O70 0.993 0.494 0.676 1
O71 0.994 0.145 0.172 1
O72 0.996 0.132 0.893 1



Entry 2:
# PBE Na4Mg2Al2SiS5O24, optimized geometry
# - total magnetic moment (μB per formula unit) = 0.00
# - total energy after the MP2020 corrections (eV for the cell shown) = -758.69
# - ΔE_f (kJ/mol of atoms) = -234
data_Na4Mg2Al2SiS5O24
_chemical_formula_sum 'Na12 Mg6 Al6 Si3 S15 O72'
_cell_length_a 8.632
_cell_length_b 8.662
_cell_length_c 21.890
_cell_angle_alpha 90.12
_cell_angle_beta 90.03
_cell_angle_gamma 119.86
_space_group_name_H-M_alt 'P 1'
_space_group_IT_number 1
_space_group_name_Hall 'P 1'
loop_
_atom_site_label
_atom_site_fract_x
_atom_site_fract_y
_atom_site_fract_z
_atom_site_occupancy
Na1 0.000 0.000 0.000 1
Na2 0.001 0.001 0.491 1
Na3 0.033 0.333 0.401 1
Na4 0.046 0.709 0.909 1
Na5 0.306 0.329 0.917 1
Na6 0.323 0.651 0.321 1
Na7 0.343 0.681 0.826 1
Na8 0.351 0.993 0.751 1
Na9 0.665 0.014 0.239 1
Na10 0.681 0.351 0.664 1
Na11 0.689 0.348 0.164 1
Na12 0.968 0.670 0.583 1
Mg1 0.000 0.010 0.147 1
Mg2 0.007 0.008 0.339 1
Mg3 0.340 0.670 0.472 1
Mg4 0.342 0.684 0.974 1
Mg5 0.664 0.331 0.514 1
Mg6 0.996 0.990 0.645 1
Al1 0.012 0.993 0.843 1
Al2 0.323 0.657 0.177 1
Al3 0.327 0.663 0.681 1
Al4 0.655 0.321 0.015 1
Al5 0.670 0.339 0.307 1
Al6 0.673 0.334 0.808 1
Si1 0.004 0.309 0.245 1
Si2 0.383 0.051 0.907 1
Si3 0.995 0.692 0.742 1
S1 0.033 0.660 0.074 1
S2 0.048 0.374 0.577 1
S3 0.295 0.299 0.744 1
S4 0.300 0.000 0.243 1
S5 0.341 0.960 0.579 1
S6 0.343 0.381 0.075 1
S7 0.381 0.331 0.409 1
S8 0.618 0.669 0.579 1
S9 0.626 0.963 0.077 1
S10 0.664 0.041 0.409 1
S11 0.675 0.624 0.910 1
S12 0.701 0.698 0.242 1
S13 0.715 0.001 0.745 1
S14 0.945 0.321 0.911 1
S15 0.955 0.629 0.412 1
O1 0.009 0.815 0.082 1
O2 0.028 0.197 0.584 1
O3 0.040 0.834 0.800 1
O4 0.042 0.233 0.308 1
O5 0.130 0.639 0.127 1
O6 0.131 0.475 0.916 1
O7 0.131 0.682 0.016 1
O8 0.133 0.637 0.412 1
O9 0.143 0.452 0.519 1
O10 0.143 0.495 0.630 1
O11 0.177 0.505 0.231 1
O12 0.178 0.032 0.902 1
O13 0.180 0.981 0.583 1
O14 0.185 0.223 0.801 1
O15 0.185 0.686 0.736 1
O16 0.188 0.957 0.297 1
O17 0.190 0.201 0.082 1
O18 0.202 0.169 0.407 1
O19 0.210 0.183 0.691 1
O20 0.220 0.027 0.188 1
O21 0.312 0.846 0.526 1
O22 0.319 0.480 0.736 1
O23 0.321 0.458 0.017 1
O24 0.340 0.851 0.233 1
O25 0.350 0.850 0.911 1
O26 0.357 0.491 0.410 1
O27 0.357 0.872 0.636 1
O28 0.364 0.498 0.127 1
O29 0.467 0.321 0.466 1
O30 0.474 0.184 0.966 1
O31 0.474 0.315 0.751 1
O32 0.480 0.163 0.252 1
O33 0.490 0.345 0.355 1
O34 0.496 0.148 0.846 1
O35 0.501 0.866 0.413 1
O36 0.503 0.135 0.576 1
O37 0.510 0.634 0.916 1
O38 0.512 0.655 0.635 1
O39 0.514 0.373 0.072 1
O40 0.516 0.875 0.133 1
O41 0.526 0.693 0.231 1
O42 0.532 0.679 0.523 1
O43 0.535 0.836 0.740 1
O44 0.541 0.860 0.022 1
O45 0.640 0.144 0.073 1
O46 0.642 0.509 0.579 1
O47 0.648 0.512 0.855 1
O48 0.649 0.132 0.353 1
O49 0.662 0.514 0.254 1
O50 0.682 0.153 0.752 1
O51 0.692 0.153 0.464 1
O52 0.716 0.550 0.965 1
O53 0.778 0.813 0.297 1
O54 0.799 0.830 0.581 1
O55 0.805 0.983 0.082 1
O56 0.806 0.981 0.800 1
O57 0.816 0.767 0.189 1
O58 0.820 0.033 0.690 1
O59 0.824 0.020 0.405 1
O60 0.824 0.331 0.255 1
O61 0.824 0.496 0.756 1
O62 0.831 0.806 0.902 1
O63 0.843 0.303 0.967 1
O64 0.854 0.492 0.070 1
O65 0.856 0.507 0.360 1
O66 0.863 0.555 0.471 1
O67 0.868 0.361 0.857 1
O68 0.870 0.365 0.576 1
O69 0.945 0.165 0.191 1
O70 0.957 0.157 0.903 1
O71 0.962 0.770 0.680 1
O72 0.977 0.807 0.404 1